(1)
This record from Materials Project describes crystalline Li3Fe2P2C2O14 at its relaxed geometry. The functional is PBE+U.

Theoretical density = 2.6 Mg/m³
Space group = P2_1
Corrected total energy (MP2020 scheme) = -7.45 eV/atom
Total magnetization = 0.39 μB per atom
DFT formation energy = -2.18 eV per atom

a = 6.478 Å, b = 9.444 Å, c = 10.177 Å
α = 62.96°, β = 90.00°, γ = 90.00°
Sites, in units of the cell vectors:
Li 0.250 0.331 0.562
O 0.768 0.681 0.150
P 0.249 0.155 0.423
Li 0.036 0.484 0.234
O 0.718 0.369 0.732
O 0.775 0.359 0.218
Li 0.750 0.669 0.438
Fe 0.745 0.229 0.436
O 0.746 0.935 0.991
O 0.752 0.857 0.238
O 0.252 0.143 0.762
O 0.562 0.259 0.057
C 0.243 0.664 0.375
O 0.241 0.982 0.547
O 0.218 0.631 0.268
O 0.275 0.641 0.782
O 0.065 0.256 0.434
P 0.749 0.845 0.577
O 0.246 0.065 0.009
Fe 0.747 0.738 0.932
O 0.062 0.741 0.943
O 0.438 0.244 0.444
Li 0.254 0.832 0.067
O 0.936 0.264 0.041
C 0.743 0.336 0.625
O 0.751 0.441 0.487
Fe 0.245 0.771 0.564
O 0.748 0.854 0.724
Fe 0.247 0.262 0.068
O 0.758 0.188 0.650
Li 0.536 0.516 0.766
O 0.251 0.559 0.513
O 0.436 0.736 0.959
O 0.248 0.146 0.276
C 0.756 0.829 0.129
Li 0.754 0.168 0.933
O 0.733 0.525 0.943
O 0.938 0.756 0.556
O 0.565 0.744 0.566
C 0.256 0.171 0.871
P 0.752 0.351 0.070
P 0.252 0.649 0.930
O 0.233 0.475 0.057
O 0.268 0.319 0.850
O 0.258 0.812 0.350
O 0.741 0.018 0.453


(2)
This record from Materials Project describes crystalline CoCuSe2Cl2O10 at its relaxed geometry. The functional is PBE+U.

Theoretical density = 3.1 Mg/m³
Space group = Pnma
Corrected total energy (MP2020 scheme) = -4.86 eV/atom
Total magnetization = 0.50 μB per atom
DFT formation energy = -0.40 eV per atom

a = 6.820 Å, b = 8.694 Å, c = 18.603 Å
α = 90.00°, β = 90.00°, γ = 90.00°
Sites, in units of the cell vectors:
O 0.633 0.209 0.680
Cl 0.517 0.498 0.335
O 0.545 0.291 0.514
O 0.767 0.529 0.492
O 0.233 0.471 0.508
O 0.169 0.775 0.750
Co 0.915 0.830 0.750
O 0.733 0.029 0.008
Cu 0.500 0.500 0.000
O 0.045 0.209 0.486
O 0.669 0.725 0.250
O 0.536 0.890 0.602
O 0.367 0.791 0.180
Cu 0.000 0.000 0.000
O 0.267 0.971 0.508
Cl 0.017 0.002 0.835
Cu 0.000 0.000 0.500
Se 0.652 0.188 0.441
O 0.867 0.709 0.680
O 0.633 0.209 0.820
O 0.036 0.610 0.102
Cl 0.517 0.498 0.165
O 0.045 0.209 0.014
Cl 0.983 0.998 0.335
O 0.964 0.390 0.898
Se 0.348 0.812 0.559
O 0.233 0.471 0.992
O 0.464 0.110 0.102
O 0.683 0.916 0.750
O 0.133 0.291 0.180
O 0.455 0.709 0.014
O 0.317 0.084 0.250
O 0.331 0.275 0.750
O 0.455 0.709 0.486
Se 0.152 0.312 0.559
Se 0.848 0.688 0.441
Co 0.585 0.330 0.750
Cl 0.983 0.998 0.165
Se 0.848 0.688 0.059
O 0.133 0.291 0.320
O 0.267 0.971 0.992
O 0.831 0.225 0.250
O 0.545 0.291 0.986
O 0.733 0.029 0.492
O 0.464 0.110 0.398
O 0.183 0.584 0.250
O 0.767 0.529 0.008
O 0.817 0.416 0.750
O 0.964 0.390 0.602
O 0.867 0.709 0.820
Cl 0.017 0.002 0.665
Cl 0.483 0.502 0.835
Se 0.348 0.812 0.941
Cu 0.500 0.500 0.500
O 0.367 0.791 0.320
Se 0.152 0.312 0.941
O 0.036 0.610 0.398
Co 0.415 0.670 0.250
O 0.536 0.890 0.898
Co 0.085 0.170 0.250
O 0.955 0.791 0.514
O 0.955 0.791 0.986
Se 0.652 0.188 0.059
Cl 0.483 0.502 0.665


(3)
This record from Materials Project describes crystalline LiMnSiO4 at its relaxed geometry. The functional is PBE+U.

Theoretical density = 3.8 Mg/m³
Space group = C222_1
Corrected total energy (MP2020 scheme) = -7.77 eV/atom
Total magnetization = 0.00 μB per atom
DFT formation energy = -2.59 eV per atom

a = 5.578 Å, b = 5.578 Å, c = 8.654 Å
α = 90.00°, β = 90.00°, γ = 90.03°
Sites, in units of the cell vectors:
O 0.259 0.016 0.518
Mn 0.500 0.231 0.999
O 0.493 0.260 0.261
Mn 0.231 0.500 0.251
O 0.507 0.740 0.761
O 0.984 0.260 0.268
O 0.260 0.493 0.989
O 0.016 0.259 0.732
Li 0.773 0.000 0.750
Si 0.737 0.263 0.375
O 0.984 0.741 0.232
O 0.259 0.506 0.511
Si 0.262 0.262 0.625
O 0.741 0.494 0.011
O 0.506 0.259 0.739
Mn 0.769 0.500 0.751
O 0.740 0.016 0.482
O 0.260 0.984 0.982
O 0.741 0.984 0.018
Li 0.227 0.000 0.250
Si 0.738 0.738 0.125
Li 0.000 0.773 0.500
Li 0.000 0.227 0.000
Mn 0.500 0.769 0.499
Si 0.263 0.737 0.875
O 0.494 0.741 0.239
O 0.016 0.740 0.768
O 0.740 0.507 0.489